(1)
CuNi3C8O24 after structural relaxation. Source: the Materials Project, functional PBE with a Hubbard U.

a = 8.442 Å, b = 8.536 Å, c = 9.295 Å
α = 96.86°, β = 90.24°, γ = 91.07°
Space group P-1 (No. 2)
Symmetry-distinct sites (fractional):
Cu  0.000  0.000  0.000 (multiplicity 1)
Ni  0.000  0.500  0.500 (multiplicity 1)
Ni  0.500  0.000  0.500 (multiplicity 1)
Ni  0.500  0.500  0.000 (multiplicity 1)
C  0.152  0.330  0.955 (multiplicity 2)
C  0.184  0.892  0.695 (multiplicity 2)
C  0.314  0.895  0.197 (multiplicity 2)
C  0.346  0.332  0.455 (multiplicity 2)
O  0.003  0.309  0.544 (multiplicity 2)
O  0.090  0.914  0.788 (multiplicity 2)
O  0.094  0.602  0.649 (multiplicity 2)
O  0.145  0.207  0.003 (multiplicity 2)
O  0.156  0.449  0.906 (multiplicity 2)
O  0.220  0.885  0.103 (multiplicity 2)
O  0.283  0.887  0.606 (multiplicity 2)
O  0.342  0.451  0.405 (multiplicity 2)
O  0.353  0.211  0.505 (multiplicity 2)
O  0.404  0.919  0.294 (multiplicity 2)
O  0.411  0.603  0.149 (multiplicity 2)
O  0.497  0.310  0.048 (multiplicity 2)

(2)
ErFeC6N6O5 after structural relaxation. Source: the Materials Project, functional PBE with a Hubbard U.

a = 7.4498 Å, b = 7.4498 Å, c = 13.4085 Å
α = 90.00°, β = 90.00°, γ = 120.00°
Space group P6_3/m (No. 176)
Symmetry-distinct sites (fractional):
Er  0.3333  0.6667  0.2500 (multiplicity 2)
Fe  0.0000  0.0000  0.0000 (multiplicity 2)
C  0.1097  0.8620  0.0820 (multiplicity 12)
N  0.1768  0.7857  0.1356 (multiplicity 12)
O  0.1190  0.5791  0.7500 (multiplicity 6)
O  0.3333  0.6667  0.6509 (multiplicity 4)

(3)
ErFeC6N6O4 after structural relaxation. Source: the Materials Project, functional PBE with a Hubbard U.

a = 7.344 Å, b = 13.365 Å, c = 7.492 Å
α = 90.00°, β = 119.29°, γ = 90.00°
Space group P2_1/m (No. 11)
Symmetry-distinct sites (fractional):
Er  0.174  0.250  0.343 (multiplicity 2)
Fe  0.500  0.000  0.000 (multiplicity 2)
C  0.243  0.578  0.867 (multiplicity 4)
C  0.388  0.088  0.764 (multiplicity 4)
C  0.390  0.090  0.127 (multiplicity 4)
N  0.097  0.631  0.792 (multiplicity 4)
N  0.322  0.142  0.622 (multiplicity 4)
N  0.323  0.143  0.205 (multiplicity 4)
O  0.082  0.750  0.163 (multiplicity 2)
O  0.097  0.750  0.442 (multiplicity 2)
O  0.146  0.674  0.327 (multiplicity 4)

(4)
FeH18C3N9F6 after structural relaxation. Source: the Materials Project, functional PBE with a Hubbard U.

a = 14.336 Å, b = 14.336 Å, c = 14.336 Å
α = 90.00°, β = 90.00°, γ = 90.00°
Space group Pa-3 (No. 205)
Symmetry-distinct sites (fractional):
Fe  0.000  0.000  0.000 (multiplicity 4)
Fe  0.000  0.000  0.500 (multiplicity 4)
H  0.003  0.244  0.113 (multiplicity 24)
H  0.005  0.646  0.834 (multiplicity 24)
H  0.010  0.607  0.310 (multiplicity 24)
H  0.016  0.606  0.188 (multiplicity 24)
H  0.025  0.647  0.662 (multiplicity 24)
H  0.030  0.743  0.108 (multiplicity 24)
C  0.018  0.737  0.248 (multiplicity 24)
N  0.009  0.717  0.829 (multiplicity 24)
N  0.016  0.643  0.249 (multiplicity 24)
N  0.029  0.718  0.668 (multiplicity 24)
F  0.020  0.633  0.473 (multiplicity 24)
F  0.025  0.027  0.633 (multiplicity 24)

Number 1: formation energy from the elements -0.984 eV per atom, VASP energy -225.328 eV per formula unit, spin magnetization 10.97 μB/cell. Number 2: formation energy from the elements 0.480 eV per atom, VASP energy -128.356 eV per formula unit, spin magnetization 10.00 μB/cell. Number 3: formation energy from the elements 0.304 eV per atom, VASP energy -130.489 eV per formula unit, spin magnetization 2.00 μB/cell. Number 4: formation energy from the elements -0.857 eV per atom, VASP energy -210.431 eV per formula unit, spin magnetization 40.00 μB/cell.